1.
First-principles (GGA+U) data for a relaxed structure of LiFeF5, as listed in the Materials Project.

a b c (Å): 10.768 10.768 10.768
angles (deg): 95.50 95.50 143.92
Fractional coordinates of all 56 atoms:
Li1 0.523 0.566 0.782
Li2 0.466 0.009 0.282
Li3 0.816 0.534 0.543
Li4 0.259 0.477 0.043
Li5 0.434 0.216 0.957
Li6 0.991 0.273 0.457
Li7 0.727 0.184 0.718
Li8 0.784 0.741 0.218
Fe1 0.487 0.694 0.393
Fe2 0.344 0.237 0.293
Fe3 0.944 0.051 0.707
Fe4 0.301 0.094 0.607
Fe5 0.949 0.656 0.893
Fe6 0.306 0.699 0.793
Fe7 0.906 0.513 0.207
Fe8 0.763 0.056 0.107
F1 0.709 0.803 0.341
F2 0.351 0.425 0.377
F3 0.675 0.797 0.574
F4 0.053 0.212 0.593
F5 0.618 0.459 0.407
F6 0.223 0.101 0.426
F7 0.355 0.077 0.240
F8 0.413 0.635 0.740
F9 0.047 0.973 0.623
F10 0.122 0.816 0.535
F11 0.969 0.162 0.035
F12 0.799 0.367 0.334
F13 0.217 0.285 0.834
F14 0.462 0.368 0.659
F15 0.184 0.719 0.307
F16 0.838 0.872 0.807
F17 0.617 0.783 0.068
F18 0.535 0.201 0.568
F19 0.885 0.645 0.722
F20 0.327 0.587 0.222
F21 0.923 0.163 0.278
F22 0.365 0.105 0.778
F23 0.633 0.967 0.432
F24 0.715 0.549 0.932
F25 0.412 0.878 0.693
F26 0.066 0.031 0.193
F27 0.788 0.382 0.841
F28 0.033 0.465 0.666
F29 0.451 0.383 0.166
F30 0.281 0.588 0.465
F31 0.128 0.934 0.965
F32 0.203 0.777 0.877
F33 0.837 0.115 0.760
F34 0.895 0.673 0.260
F35 0.027 0.649 0.074
F36 0.632 0.291 0.093
F37 0.197 0.538 0.907
F38 0.575 0.953 0.926
F39 0.899 0.325 0.123
F40 0.541 0.947 0.159

Space group: I4_1/a (88)
ΔH_f (0 K) in eV per atom: -2.409
Distance to the lowest polymorph of the same formula in eV/atom: 0.0455
Magnetization in μB per cell: 32.00
E in eV/atom: -4.6072

2.
First-principles (GGA+U) data for a relaxed structure of Sr4LiMn2Ga2O10, as listed in the Materials Project.

a b c (Å): 5.903 5.726 9.172
angles (deg): 71.19 72.29 90.48
Fractional coordinates of all 19 atoms:
Sr1 0.117 0.635 0.783
Sr2 0.785 0.329 0.226
Sr3 0.663 0.078 0.774
Sr4 0.341 0.927 0.222
Li1 0.219 0.473 0.159
Mn1 0.551 0.512 0.939
Mn2 0.006 0.998 0.998
Ga1 0.678 0.672 0.493
Ga2 0.319 0.322 0.517
O1 0.214 0.282 0.013
O2 0.277 0.784 0.996
O3 0.737 0.213 0.996
O4 0.785 0.726 0.996
O5 0.688 0.678 0.692
O6 0.337 0.303 0.316
O7 0.119 0.121 0.713
O8 0.878 0.877 0.296
O9 0.344 0.668 0.499
O10 0.656 0.330 0.506

Space group: P1 (1)
ΔH_f (0 K) in eV per atom: -2.524
Distance to the lowest polymorph of the same formula in eV/atom: 0.0908
Magnetization in μB per cell: 9.00
E in eV/atom: -6.3300

Question: ΔH_f (0 K) of number 2 (Sr4LiMn2Ga2O10)?
Answer: -2.524 eV per atom